Density functional theory data (PBE) for Sn4SF6 after structural relaxation.

Structure (CIF):
```
data_Sn4SF6
_cell_length_a 8.682
_cell_length_b 12.569
_cell_length_c 8.895
_cell_angle_alpha 90.00
_cell_angle_beta 90.00
_cell_angle_gamma 90.00
_symmetry_space_group_name_H-M 'C m c 21'
_symmetry_Int_Tables_number 36
_symmetry_space_group_name_Hall 'C 2c -2'
loop_
_atom_site_label
_atom_site_fract_x
_atom_site_fract_y
_atom_site_fract_z
Sn1 0.000 0.151 0.000
Sn2 0.000 0.320 0.588
Sn3 0.227 0.415 0.109
S1 0.000 0.337 0.879
F1 0.000 0.149 0.554
F2 0.000 0.384 0.225
F3 0.175 0.093 0.838
F4 0.249 0.243 0.116
```

formation energy = -2181.4 meV per atom
final energy = -4.76 eV/atom